1.
VASP calculation (r²SCAN) on a geometry-optimized YbN2 structure.

Unit cell a=3.996 b=3.996 c=4.552 alpha=90.00 beta=90.00 gamma=90.00
Atoms (fractional coordinates):
Yb: 0.000 0.000 0.000
Yb: 0.500 0.500 0.500
N: 0.117 0.117 0.500
N: 0.383 0.617 0.000
N: 0.617 0.383 0.000
N: 0.883 0.883 0.500

- Energy of formation from the pure elements: -1.045 eV/atom
- Final energy: -0.710 Ha/atom
- Space-group type: No. 136



2.
VASP calculation (r²SCAN) on a geometry-optimized Yb3N2 structure.

Unit cell a=6.527 b=6.527 c=6.527 alpha=52.62 beta=52.62 gamma=52.62
Atoms (fractional coordinates):
Yb: 0.074 0.750 0.426
Yb: 0.250 0.574 0.926
Yb: 0.426 0.074 0.750
Yb: 0.574 0.926 0.250
Yb: 0.750 0.426 0.074
Yb: 0.926 0.250 0.574
N: 0.162 0.162 0.162
N: 0.338 0.338 0.338
N: 0.662 0.662 0.662
N: 0.838 0.838 0.838

- Energy of formation from the pure elements: -1.507 eV/atom
- Final energy: -0.995 Ha/atom
- Space-group type: No. 167



3.
VASP calculation (r²SCAN) on a geometry-optimized Zn3N structure.

Unit cell a=4.892 b=4.892 c=4.892 alpha=139.61 beta=139.61 gamma=58.44
Atoms (fractional coordinates):
Zn: 0.000 0.000 0.000
Zn: 0.250 0.750 0.500
Zn: 0.750 0.250 0.500
N: 0.500 0.500 0.000

- Energy of formation from the pure elements: 0.743 eV/atom
- Final energy: -0.302 Ha/atom
- Space-group type: No. 139



4.
VASP calculation (r²SCAN) on a geometry-optimized Zn3N structure.

Unit cell a=3.656 b=3.656 c=3.656 alpha=90.00 beta=90.00 gamma=90.00
Atoms (fractional coordinates):
Zn: 0.000 0.000 0.500
Zn: 0.000 0.500 0.000
Zn: 0.500 0.000 0.000
N: 0.500 0.500 0.500

- Energy of formation from the pure elements: 0.769 eV/atom
- Final energy: -0.301 Ha/atom
- Space-group type: No. 221